No. 1
# Re3Bi

Re3Bi after structural relaxation (GGA-PBE, the Materials Project database).

ΔE_f	0.989	eV per atom

Cell and atoms, written as POSCAR:
```
Re3Bi
1.0
-5.648 -2.706 -1.735
4.639 -3.635 2.737
-1.612 0.872 3.890
Re Bi
6 2
Cartesian
-0.504 -4.890 2.075
-2.713 -4.327 3.410
0.092 -1.142 1.482
-5.455 -2.179 1.792
-2.117 -0.580 2.818
2.834 -3.291 3.100
-2.622 -2.798 0.728
0.001 -2.672 4.164
```

No. 2
# Bi4Rh

Bi4Rh after structural relaxation (GGA-PBE, the Materials Project database).

ΔE_f	-0.142	eV per atom

Cell and atoms, written as POSCAR:
```
Bi4Rh
1.0
-8.659 -8.800 4.549
-3.803 12.103 3.489
0.587 -0.801 -13.120
Bi Rh
48 12
Cartesian
-3.998 5.069 0.717
-1.086 2.161 -0.753
-2.816 5.267 -9.335
-9.542 2.877 -5.995
-6.125 2.934 1.837
-3.830 9.451 -1.954
-10.790 0.340 -4.330
-7.880 -0.274 -3.107
-5.630 -3.207 0.457
-3.995 2.775 -1.975
-1.037 2.841 -10.644
-8.794 -4.850 0.897
-10.741 3.328 -2.973
-5.235 0.216 -0.338
-3.081 7.352 -5.979
-9.059 -2.766 4.253
-6.246 5.709 -5.539
-3.543 -3.058 -6.057
-3.157 0.684 -9.552
-2.003 0.588 -6.151
-5.769 -5.468 -6.009
-3.380 -3.258 -9.261
-6.244 8.146 4.134
-6.958 -0.607 3.130
-4.917 3.108 -8.212
-2.933 3.551 -5.318
-6.375 5.920 -2.333
-4.027 10.301 -5.117
-8.046 -6.950 -3.128
-8.332 5.559 0.974
-2.333 -0.376 0.913
-8.496 5.760 4.179
-6.640 2.285 -4.744
-8.957 -3.990 -2.265
-8.942 -1.050 0.236
-9.873 1.913 1.069
-7.848 -7.800 0.035
-5.750 -0.432 -6.919
-5.631 -5.644 -9.216
-7.847 2.700 -1.721
-7.877 -2.567 -5.799
-6.107 7.970 0.927
-8.718 1.817 4.469
-4.029 -0.199 -3.361
-5.501 -3.418 -2.749
-10.838 -0.339 5.561
-1.135 -0.826 -2.109
-2.918 6.491 -2.817
-10.062 0.876 -1.603
-6.750 -5.388 -1.072
-5.849 -3.175 -7.765
-5.126 7.889 -4.010
-9.807 -0.336 2.881
-3.518 2.238 0.806
-6.026 5.677 2.682
-3.576 -1.987 -1.138
-8.300 4.489 -3.944
-2.068 2.838 -7.963
-1.813 1.625 -3.479
-8.358 0.263 -5.888
```

No. 3
# Bi3Rh

Bi3Rh after structural relaxation (GGA-PBE, the Materials Project database).

ΔE_f	-0.142	eV per atom

Cell and atoms, written as POSCAR:
```
Bi3Rh
1.0
4.331 0.000 0.000
0.000 8.965 0.000
0.000 0.000 11.540
Rh Bi
4 12
Cartesian
3.248 8.051 5.997
3.248 3.568 11.314
1.083 0.914 5.544
1.083 5.396 0.227
3.248 5.383 6.803
3.248 5.352 2.044
1.083 3.613 9.497
1.083 8.095 7.814
3.248 0.869 3.726
1.083 3.582 4.737
3.248 6.249 10.231
3.248 0.900 10.507
1.083 8.064 1.033
3.248 1.767 7.079
1.083 2.716 1.309
1.083 7.198 4.461
```

No. 4
# Bi14Rh3

Bi14Rh3 after structural relaxation (GGA-PBE, the Materials Project database).

ΔE_f	-0.105	eV per atom

Cell and atoms, written as POSCAR:
```
Bi14Rh3
1.0
-3.503 -5.544 17.145
-8.367 2.022 14.004
-1.575 -9.311 1.261
Rh Bi
6 28
Cartesian
-7.616 -3.365 19.626
-8.403 -8.021 20.256
-6.723 -6.417 16.205
-4.220 -9.032 13.254
-6.652 -5.249 11.684
-10.084 -9.625 24.308
-5.498 -4.562 18.081
-2.627 -6.975 9.085
-8.526 -4.359 17.019
-5.694 -4.501 14.355
-6.659 -8.947 14.884
-5.812 -11.089 17.424
-9.734 -2.169 21.171
-4.095 0.558 7.120
-4.419 -10.857 11.033
-6.556 -8.130 11.696
-8.281 -11.684 23.494
-6.012 -7.861 18.563
-11.113 -11.541 26.157
-7.633 -1.745 14.987
-6.689 -5.734 20.983
-4.959 -4.264 9.570
-3.971 -6.345 12.241
-9.675 -5.458 19.901
-4.468 -11.719 14.268
-7.132 -10.584 20.612
-10.147 -7.096 25.629
-8.543 -0.997 18.269
-9.028 -7.664 17.466
-8.345 -6.234 13.798
-7.779 -8.378 23.047
-6.748 -2.368 11.671
-4.020 -7.207 15.476
-10.795 -8.182 21.950
```

No. 5
# SmBiRh

SmBiRh after structural relaxation (GGA-PBE, the Materials Project database).

ΔE_f	-0.724	eV per atom

Cell and atoms, written as POSCAR:
```
SmBiRh
1.0
4.767 0.000 0.000
0.000 7.377 0.000
0.000 0.000 8.053
Rh Bi Sm
4 4 4
Cartesian
1.192 2.158 4.660
3.575 1.530 0.633
1.192 5.846 7.420
3.575 5.219 3.394
1.192 1.384 7.326
3.575 5.992 0.727
1.192 5.073 4.754
3.575 2.304 3.299
3.575 7.296 5.633
1.192 3.769 1.606
3.575 3.608 6.447
1.192 0.080 2.420
```

No. 6
# U3Bi4Rh3

U3Bi4Rh3 after structural relaxation (GGA-PBE, the Materials Project database).

ΔE_f	-0.233	eV per atom

Cell and atoms, written as POSCAR:
```
U3Bi4Rh3
1.0
7.257 2.213 -3.813
-3.931 -5.937 -4.625
-5.015 6.814 0.711
Rh Bi U
6 8 6
Cartesian
1.672 2.454 -3.272
-2.795 2.586 -2.243
-0.990 -1.177 -4.143
2.775 -1.665 -6.716
-6.294 0.192 -3.990
0.563 6.880 -2.815
2.933 0.057 -2.724
-0.546 0.999 -2.497
-1.225 3.798 -0.318
0.968 -2.912 -5.037
-1.391 2.543 -6.360
2.404 4.905 -2.225
-2.852 -1.764 -2.187
-5.360 1.643 -1.831
1.105 0.504 -5.483
-0.700 4.267 -3.584
-4.464 4.755 -1.010
4.605 2.897 -3.736
-2.253 -3.790 -4.911
-3.362 0.636 -4.454
```

no.,VASP energy (eV/atom),V (Å³/cell)
1,-9.317,157.3
2,-4.727,1753.3
3,-4.901,448.1
4,-4.608,988.5
5,-6.048,283.2
6,-7.386,471.3